# 1
Density functional theory data (r²SCAN) for a relaxed Sm11Y5O24 crystal.

Lattice parameters (Å, degrees): 9.3763 9.3781 9.3907 109.48 109.48 109.39
With the nearest neighbours (Å) after each atom.
Element x y z (fractional)
1 Sm 0.2513 0.7189 0.4686  6 O 2.31-2.43
2 O 0.7709 0.2240 0.7550  2 Y 2.27-2.29, 2 Sm 2.36-2.41
3 O 0.4930 0.2607 0.5298  3 Sm 2.30-2.34, 1 Y 2.35
4 O 0.7289 0.4837 0.4585  1 Y 2.28, 3 Sm 2.31-2.40
5 O 0.7370 0.7319 0.7735  2 Y 2.27-2.35, 2 Sm 2.34-2.35
6 O 0.5464 0.0297 0.2764  2 Y 2.26-2.27, 2 Sm 2.36-2.42
7 O 0.2685 0.5082 0.5371  3 Sm 2.30-2.33, 1 Y 2.37
8 O 0.2313 0.7682 0.2392  3 Sm 2.31-2.35, 1 Y 2.36
9 O 0.2537 0.2702 0.2296  1 Y 2.27, 3 Sm 2.31-2.41
10 Sm 0.9666 0.7492 0.7198  6 O 2.31-2.41
11 Y 0.7503 0.7837 0.0323  6 O 2.27-2.36
12 O 0.9865 0.4533 0.2279  1 Y 2.26, 3 Sm 2.33-2.42
13 O 0.4644 0.9695 0.7325  3 Sm 2.31-2.35, 1 Y 2.33
14 O 0.2671 0.2388 0.7255  4 Sm 2.31-2.42
15 Sm 0.5000 0.5004 0.4993  6 O 2.33-2.36
16 O 0.7250 0.7593 0.2660  2 Y 2.25-2.36, 2 Sm 2.33-2.34
17 Sm 0.5060 0.0029 0.0052  6 O 2.34-2.36
18 Sm 0.2480 0.2189 0.9691  6 O 2.31-2.42
19 O 0.5287 0.2705 0.0409  4 Sm 2.30-2.40
20 Sm 0.2195 0.4705 0.7499  6 O 2.30-2.43
21 O 0.4748 0.7318 0.9622  2 Y 2.27-2.38, 2 Sm 2.32-2.34
22 O 0.9652 0.0117 0.7416  1 Y 2.25, 3 Sm 2.32-2.41
23 Sm 0.5323 0.2501 0.7808  6 O 2.30-2.41
24 O 0.2314 0.9573 0.9713  4 Sm 2.31-2.41
25 O 0.5183 0.7459 0.4703  2 Y 2.27-2.29, 2 Sm 2.36-2.43
26 O 0.9538 0.2311 0.4830  2 Y 2.26-2.28, 2 Sm 2.35-2.43
27 O 0.0412 0.7734 0.5125  4 Sm 2.32-2.40
28 O 0.2479 0.4765 0.0169  1 Y 2.27, 3 Sm 2.31-2.41
29 O 0.7763 0.0426 0.0308  3 Y 2.26-2.36, 1 Sm 2.35
30 Sm 0.7808 0.5319 0.2500  6 O 2.30-2.42
31 Sm 0.9930 0.0006 0.4981  6 O 2.34-2.36
32 Sm 0.0002 0.4970 0.9993  6 O 2.33-2.36
33 O 0.0063 0.5357 0.7681  3 Sm 2.31-2.33, 1 Y 2.35
34 Sm 0.2809 0.0307 0.2510  6 O 2.31-2.42
35 Y 0.7499 0.2799 0.5316  6 O 2.26-2.35
36 O 0.7608 0.5347 0.9877  1 Y 2.27, 3 Sm 2.34-2.42
37 Y 0.7181 0.9680 0.7508  6 O 2.25-2.35
38 O 0.0253 0.9878 0.2574  2 Y 2.27-2.37, 2 Sm 2.32-2.35
39 Y 0.4707 0.7521 0.2198  6 O 2.25-2.38
40 Y 0.0296 0.2486 0.2806  6 O 2.26-2.37

Results
Space group: No. 1
VASP energy in eV for the cell shown: -723.676

=====

# 2
Density functional theory data (r²SCAN) for a relaxed Ba2TlSn2O7 crystal.

Lattice parameters (Å, degrees): 3.8307 3.8307 13.9306 90.00 90.00 90.00
With the nearest neighbours (Å) after each atom.
Element x y z (fractional)
1 Sn 0.0000 0.0000 0.1017  4 O 2.05
2 O 0.0000 0.0000 0.3551  1 Tl 2.02
3 O 0.0000 0.5000 0.8453  2 Sn 2.05
4 Tl 0.0000 0.0000 0.5000  2 O 2.02
5 Ba 0.5000 0.5000 0.6996  9 O 2.78-2.81
6 O 0.5000 0.5000 0.5000  4 Tl 2.71, 2 Ba 2.78
7 Ba 0.5000 0.5000 0.3004  9 O 2.78-2.81
8 O 0.0000 0.5000 0.1547  2 Sn 2.05
9 O 0.5000 0.0000 0.1547  2 Sn 2.05
10 O 0.0000 0.0000 0.6449  1 Tl 2.02
11 O 0.5000 0.0000 0.8453  2 Sn 2.05
12 Sn 0.0000 0.0000 0.8983  4 O 2.05

Results
Space group: No. 123
VASP energy in eV for the cell shown: -218.327

=====

# 3
Density functional theory data (r²SCAN) for a relaxed P4WO12 crystal.

Lattice parameters (Å, degrees): 13.5657 5.3070 7.2830 80.14 90.00 90.00
With the nearest neighbours (Å) after each atom.
Element x y z (fractional)
1 O 0.9820 0.0432 0.5364  2 P 1.56-1.57
2 O 0.9136 0.3516 0.9190  1 P 1.45
3 O 0.8530 0.7179 0.5166  1 P 1.50
4 O 0.1075 0.9659 0.7882  2 P 1.57-1.63
5 O 0.7724 0.0729 0.0632  2 P 1.58-1.61
6 O 0.7197 0.6523 0.2243  1 P 1.53
7 P 0.6796 0.8821 0.0892  3 O 1.44-1.61
8 O 0.3148 0.8081 0.5517  1 P 1.49
9 W 0.2308 0.4974 0.5066  6 O 1.97-2.08
10 P 0.8254 0.2156 0.8820  3 O 1.45-1.58
11 P 0.5929 0.0255 0.4259  4 O 1.49-1.57
12 P 0.1796 0.1179 0.9108  3 O 1.44-1.61
13 O 0.4136 0.6484 0.0810  1 P 1.45
14 W 0.7308 0.5026 0.4934  6 O 1.97-2.08
15 O 0.3530 0.2821 0.4834  1 P 1.50
16 P 0.0929 0.9745 0.5741  4 O 1.49-1.57
17 O 0.2444 0.6353 0.2383  1 P 1.54
18 O 0.6094 0.2887 0.4719  1 P 1.51
19 O 0.6075 0.0341 0.2118  2 P 1.57-1.63
20 O 0.7444 0.3647 0.7617  1 P 1.54
21 O 0.4820 0.9568 0.4636  2 P 1.56-1.57
22 O 0.6514 0.8159 0.5365  1 P 1.49
23 O 0.1514 0.1841 0.4635  1 P 1.49
24 O 0.8498 0.9720 0.7774  2 P 1.56-1.64
25 O 0.1334 0.1539 0.0828  1 P 1.44
26 O 0.6334 0.8461 0.9172  1 P 1.44
27 O 0.8148 0.1919 0.4483  1 P 1.49
28 O 0.3498 0.0280 0.2226  2 P 1.56-1.64
29 O 0.2724 0.9271 0.9368  2 P 1.58-1.61
30 P 0.3254 0.7844 0.1180  3 O 1.45-1.58
31 P 0.3697 0.0215 0.4345  4 O 1.49-1.57
32 O 0.1094 0.7113 0.5281  1 P 1.51
33 O 0.2197 0.3477 0.7757  1 P 1.53
34 P 0.8697 0.9785 0.5655  4 O 1.49-1.57

Results
Space group: No. 4
Offset from the most stable computed form in meV per atom: 13
VASP energy in eV for the cell shown: -391.391